This record from the Materials Project describes a relaxed structure of Dy3Si2Ni. The functional is r2SCAN.

Cell and atoms, written as CIF:
```
data_Dy3Si2Ni
_chemical_formula_sum 'Dy12 Si8 Ni4'
_cell_length_a 4.1010
_cell_length_b 11.2443
_cell_length_c 11.2572
_cell_angle_alpha 90.00
_cell_angle_beta 90.00
_cell_angle_gamma 90.00
_symmetry_space_group_name_H-M 'P 1'
_symmetry_Int_Tables_number 1
_symmetry_space_group_name_Hall 'P 1'
loop_
_atom_site_label
_atom_site_type_symbol
_atom_site_fract_x
_atom_site_fract_y
_atom_site_fract_z
Dy1 Dy 0.7500 0.9425 0.1177
Dy2 Dy 0.2500 0.0575 0.8823
Dy3 Dy 0.2500 0.4425 0.3823
Dy4 Dy 0.2500 0.1252 0.5597
Dy5 Dy 0.7500 0.6252 0.9403
Dy6 Dy 0.2500 0.6968 0.2154
Dy7 Dy 0.2500 0.3748 0.0597
Dy8 Dy 0.7500 0.5575 0.6177
Dy9 Dy 0.7500 0.8748 0.4403
Dy10 Dy 0.2500 0.8032 0.7154
Dy11 Dy 0.7500 0.3032 0.7846
Dy12 Dy 0.7500 0.1968 0.2846
Ni1 Ni 0.7500 0.8649 0.8710
Ni2 Ni 0.2500 0.3649 0.6290
Ni3 Ni 0.7500 0.6351 0.3710
Ni4 Ni 0.2500 0.1351 0.1290
Si1 Si 0.7500 0.3136 0.5251
Si2 Si 0.2500 0.4934 0.8025
Si3 Si 0.2500 0.6864 0.4749
Si4 Si 0.7500 0.9934 0.6975
Si5 Si 0.7500 0.5066 0.1975
Si6 Si 0.2500 0.0066 0.3025
Si7 Si 0.2500 0.8136 0.9749
Si8 Si 0.7500 0.1864 0.0251
```

* spin magnetization: 0.87 μB/f.u.
* formation energy from the elements: -4.86 eV per formula unit
* theoretical density: 7.708 g/cm3
* E: -1.597 Ry/atom

=====

This record from the Materials Project describes a relaxed structure of P2W2O11. The functional is r2SCAN.

Cell and atoms, written as CIF:
```
data_P2W2O11
_chemical_formula_sum 'P8 W8 O44'
_cell_length_a 6.2618
_cell_length_b 8.0055
_cell_length_c 15.7698
_cell_angle_alpha 90.00
_cell_angle_beta 90.00
_cell_angle_gamma 90.00
_symmetry_space_group_name_H-M 'P 1'
_symmetry_Int_Tables_number 1
_symmetry_space_group_name_Hall 'P 1'
loop_
_atom_site_label
_atom_site_type_symbol
_atom_site_fract_x
_atom_site_fract_y
_atom_site_fract_z
W1 W 0.7500 0.2365 0.9401
W2 W 0.7500 0.2635 0.4401
W3 W 0.7500 0.6003 0.8026
W4 W 0.2500 0.7635 0.0599
W5 W 0.2500 0.3997 0.1974
W6 W 0.2500 0.1003 0.6974
W7 W 0.7500 0.8997 0.3026
W8 W 0.2500 0.7365 0.5599
O1 O 0.9433 0.0851 0.7092
O2 O 0.5567 0.0851 0.7092
O3 O 0.9437 0.7930 0.0679
O4 O 0.7500 0.1078 0.5136
O5 O 0.5567 0.4149 0.2092
O6 O 0.7500 0.3922 0.0136
O7 O 0.5563 0.7930 0.0679
O8 O 0.7500 0.0422 0.8474
O9 O 0.7500 0.5199 0.6726
O10 O 0.0567 0.5851 0.7908
O11 O 0.7500 0.4578 0.3474
O12 O 0.2500 0.2977 0.1029
O13 O 0.2500 0.9578 0.1526
O14 O 0.7500 0.0466 0.0193
O15 O 0.2500 0.2023 0.6029
O16 O 0.2500 0.6078 0.9864
O17 O 0.4437 0.2930 0.4321
O18 O 0.2500 0.8780 0.6569
O19 O 0.7500 0.8182 0.7378
O20 O 0.4433 0.9149 0.2908
O21 O 0.2500 0.9534 0.9807
O22 O 0.5563 0.7070 0.5679
O23 O 0.7500 0.9801 0.1726
O24 O 0.2500 0.5422 0.6526
O25 O 0.2500 0.8922 0.4864
O26 O 0.2500 0.5466 0.4807
O27 O 0.7500 0.1220 0.3431
O28 O 0.9437 0.7070 0.5679
O29 O 0.0567 0.9149 0.2908
O30 O 0.7500 0.7023 0.8971
O31 O 0.9433 0.4149 0.2092
O32 O 0.7500 0.3780 0.8431
O33 O 0.0563 0.2070 0.9321
O34 O 0.2500 0.3182 0.7622
O35 O 0.2500 0.0199 0.8274
O36 O 0.2500 0.1818 0.2622
O37 O 0.0563 0.2930 0.4321
O38 O 0.4437 0.2070 0.9321
O39 O 0.7500 0.7977 0.3971
O40 O 0.2500 0.4801 0.3274
O41 O 0.4433 0.5851 0.7908
O42 O 0.2500 0.6220 0.1569
O43 O 0.7500 0.6818 0.2378
O44 O 0.7500 0.4534 0.5193
P1 P 0.2500 0.9937 0.2454
P2 P 0.7500 0.5931 0.5846
P3 P 0.2500 0.4069 0.4154
P4 P 0.2500 0.0931 0.9154
P5 P 0.7500 0.0063 0.7546
P6 P 0.7500 0.9069 0.0846
P7 P 0.7500 0.4937 0.2546
P8 P 0.2500 0.5063 0.7454
```

* spin magnetization: 0.00 μB/f.u.
* E above lowest polymorph: 0 meV/atom
* formation energy from the elements: -34.67 eV per formula unit
* theoretical density: 5.089 g/cm3
* E: -1.083 Ry/atom

=====

This record from the Materials Project describes a relaxed structure of LiH. The functional is r2SCAN.

Cell and atoms, written as CIF:
```
data_LiH
_chemical_formula_sum 'Li1 H1'
_cell_length_a 2.8406
_cell_length_b 2.8406
_cell_length_c 2.8406
_cell_angle_alpha 60.00
_cell_angle_beta 60.00
_cell_angle_gamma 60.00
_symmetry_space_group_name_H-M 'P 1'
_symmetry_Int_Tables_number 1
_symmetry_space_group_name_Hall 'P 1'
loop_
_atom_site_label
_atom_site_type_symbol
_atom_site_fract_x
_atom_site_fract_y
_atom_site_fract_z
Li1 Li 0.0000 0.0000 0.0000
H1 H 0.5000 0.5000 0.5000
```

* spin magnetization: 0.00 μB/f.u.
* formation energy from the elements: -0.98 eV per formula unit
* theoretical density: 0.814 g/cm3
* E: -0.251 Ry/atom